Computed, not measured: a geometry-optimized In3SnI5 structure at the GGA-PBE level of DFT.

The structure belongs to space group C2/c (No. 15); the cell edges are 12.8271, 12.8737 and 17.8398 Å and the angles 90.00°, 100.61° and 90.00°. The inequivalent atoms are In at (0.0000, 0.0392, 0.2500), In at (0.0000, 0.2444, 0.7500), In at (0.1388, 0.3948, 0.2511), In at (0.1754, 0.3809, 0.5273), Sn at (0.2028, 0.1433, 0.0859), I at (0.0262, 0.2225, 0.3866), I at (0.0543, 0.4306, 0.8971), I at (0.1465, 0.0893, 0.6053), I at (0.2077, 0.1144, 0.8964) and I at (0.2440, 0.3518, 0.7385).

Its total energy is -2.684 eV per atom. The energy with MP2020 corrections is -208.4 eV per cell. The calculation puts the volume at 40.22 Å³/atom. The offset from the most stable computed form is 2 meV/atom. As for the formation energy from the elements: -0.686 eV/atom.